Entry 1:
Mg7Si8O24: relaxed, PBE.

Cell and atoms, written as POSCAR:
```
Mg7Si8O24
1.0
18.841 0.000 0.000
0.000 18.293 0.000
0.000 0.000 5.324
Mg Si O
28 32 96
Direct
0.125 0.008 0.118
0.125 0.492 0.118
0.125 0.572 0.617
0.125 0.657 0.118
0.125 0.843 0.118
0.125 0.928 0.617
0.127 0.750 0.620
0.373 0.250 0.120
0.375 0.072 0.117
0.375 0.157 0.618
0.375 0.343 0.618
0.375 0.428 0.117
0.375 0.508 0.618
0.375 0.992 0.618
0.625 0.008 0.382
0.625 0.492 0.382
0.625 0.572 0.883
0.625 0.657 0.382
0.625 0.843 0.382
0.625 0.928 0.883
0.627 0.750 0.880
0.873 0.250 0.380
0.875 0.072 0.383
0.875 0.157 0.882
0.875 0.343 0.882
0.875 0.428 0.383
0.875 0.508 0.882
0.875 0.992 0.882
0.017 0.166 0.232
0.017 0.334 0.232
0.024 0.081 0.731
0.024 0.419 0.731
0.227 0.079 0.447
0.227 0.421 0.447
0.231 0.165 0.946
0.231 0.335 0.946
0.269 0.665 0.446
0.269 0.835 0.446
0.273 0.579 0.947
0.273 0.921 0.947
0.476 0.581 0.231
0.476 0.919 0.231
0.483 0.666 0.732
0.483 0.834 0.732
0.517 0.166 0.268
0.517 0.334 0.268
0.524 0.081 0.769
0.524 0.419 0.769
0.727 0.079 0.053
0.727 0.421 0.053
0.731 0.165 0.554
0.731 0.335 0.554
0.769 0.665 0.054
0.769 0.835 0.054
0.773 0.579 0.553
0.773 0.921 0.553
0.976 0.581 0.269
0.976 0.919 0.269
0.983 0.666 0.768
0.983 0.834 0.768
0.044 0.250 0.285
0.047 0.139 0.959
0.047 0.361 0.959
0.050 0.113 0.453
0.050 0.387 0.453
0.063 0.573 0.280
0.063 0.927 0.280
0.068 0.008 0.800
0.068 0.492 0.800
0.069 0.661 0.771
0.069 0.839 0.771
0.081 0.750 0.262
0.169 0.750 0.978
0.183 0.661 0.458
0.183 0.839 0.458
0.185 0.002 0.434
0.185 0.498 0.434
0.186 0.574 0.947
0.186 0.926 0.947
0.197 0.116 0.178
0.197 0.384 0.178
0.201 0.130 0.686
0.201 0.370 0.686
0.204 0.250 0.974
0.296 0.750 0.474
0.299 0.630 0.186
0.299 0.870 0.186
0.303 0.616 0.678
0.303 0.884 0.678
0.314 0.074 0.447
0.314 0.426 0.447
0.315 0.502 0.934
0.315 0.998 0.934
0.317 0.161 0.958
0.317 0.339 0.958
0.331 0.250 0.478
0.419 0.250 0.762
0.431 0.161 0.271
0.431 0.339 0.271
0.432 0.508 0.300
0.432 0.992 0.300
0.437 0.073 0.780
0.437 0.427 0.780
0.450 0.613 0.953
0.450 0.887 0.953
0.453 0.639 0.459
0.453 0.861 0.459
0.456 0.750 0.785
0.544 0.250 0.215
0.547 0.139 0.541
0.547 0.361 0.541
0.550 0.113 0.047
0.550 0.387 0.047
0.563 0.573 0.220
0.563 0.927 0.220
0.568 0.008 0.700
0.568 0.492 0.700
0.569 0.661 0.729
0.569 0.839 0.729
0.581 0.750 0.238
0.669 0.750 0.522
0.683 0.661 0.042
0.683 0.839 0.042
0.685 0.002 0.066
0.685 0.498 0.066
0.686 0.574 0.553
0.686 0.926 0.553
0.697 0.116 0.322
0.697 0.384 0.322
0.701 0.130 0.814
0.701 0.370 0.814
0.704 0.250 0.526
0.796 0.750 0.026
0.799 0.630 0.314
0.799 0.870 0.314
0.803 0.616 0.822
0.803 0.884 0.822
0.814 0.074 0.053
0.814 0.426 0.053
0.815 0.502 0.566
0.815 0.998 0.566
0.817 0.161 0.542
0.817 0.339 0.542
0.831 0.250 0.022
0.919 0.250 0.738
0.931 0.161 0.229
0.931 0.339 0.229
0.932 0.508 0.200
0.932 0.992 0.200
0.937 0.073 0.720
0.937 0.427 0.720
0.950 0.613 0.547
0.950 0.887 0.547
0.953 0.639 0.041
0.953 0.861 0.041
0.956 0.750 0.715
```

Computed properties:
formation enthalpy at 0 K: -3.101 eV per atom
MP2020-corrected energy: -7.55 eV/atom
energy: -0.2618 hartree per atom
SG: Pnma

---

Entry 2:
Nd4MgIr: relaxed, PBE.

Cell and atoms, written as POSCAR:
```
Nd4MgIr
1.0
0.000 7.097 7.097
7.097 0.000 7.097
7.097 7.097 0.000
Nd Mg Ir
16 4 4
Direct
0.062 0.062 0.438
0.062 0.438 0.062
0.062 0.438 0.438
0.188 0.188 0.812
0.188 0.812 0.188
0.188 0.812 0.812
0.211 0.596 0.596
0.438 0.062 0.062
0.438 0.062 0.438
0.438 0.438 0.062
0.596 0.211 0.596
0.596 0.596 0.211
0.596 0.596 0.596
0.812 0.188 0.188
0.812 0.188 0.812
0.812 0.812 0.188
0.514 0.829 0.829
0.829 0.514 0.829
0.829 0.829 0.514
0.829 0.829 0.829
0.391 0.391 0.391
0.391 0.391 0.826
0.391 0.826 0.391
0.826 0.391 0.391
```

Computed properties:
formation enthalpy at 0 K: -0.362 eV per atom
energy: -0.1941 hartree per atom
SG: F-43m

---

Entry 3:
Li3Ti4O8: relaxed, PBE.

Cell and atoms, written as POSCAR:
```
Li3Ti4O8
1.0
4.939 0.000 0.000
0.000 5.802 0.000
-0.073 0.000 4.986
Li Ti O
3 4 8
Direct
0.000 0.000 0.000
0.000 0.493 0.000
0.500 0.327 0.500
0.000 0.015 0.500
0.000 0.541 0.500
0.500 0.264 0.000
0.500 0.771 0.000
0.174 0.773 0.259
0.182 0.275 0.274
0.313 0.025 0.780
0.316 0.515 0.777
0.684 0.515 0.223
0.687 0.025 0.220
0.818 0.275 0.726
0.826 0.773 0.741
```

Computed properties:
formation enthalpy at 0 K: -2.977 eV per atom
MP2020-corrected energy: -8.10 eV/atom
energy: -0.2843 hartree per atom
energy above the most stable polymorph in this dataset: 1.89 kcal/mol of atoms
SG: P2

---

Entry 4:
BaH4O3: relaxed, PBE.

Cell and atoms, written as POSCAR:
```
BaH4O3
1.0
4.176 0.000 0.000
0.077 6.439 0.000
0.076 2.389 6.799
Ba H O
2 8 6
Direct
0.000 0.000 0.000
0.498 0.270 0.436
0.189 0.450 0.057
0.308 0.820 0.379
0.499 0.367 0.886
0.501 0.784 0.781
0.698 0.795 0.377
0.805 0.454 0.056
0.997 0.486 0.655
0.999 0.902 0.550
0.016 0.954 0.407
0.499 0.306 0.025
0.505 0.733 0.332
0.506 0.935 0.782
0.991 0.335 0.654
0.997 0.524 0.097
```

Computed properties:
formation enthalpy at 0 K: -1.763 eV per atom
MP2020-corrected energy: -5.55 eV/atom
energy: -0.1947 hartree per atom
energy above the most stable polymorph in this dataset: 0.33 kcal/mol of atoms
SG: P1

---

Entry 5:
TbTaO4: relaxed, PBE.

Cell and atoms, written as POSCAR:
```
TbTaO4
1.0
3.547 -5.553 0.000
3.547 5.553 0.000
-3.356 0.000 3.871
Tb Ta O
2 2 8
Direct
0.130 0.870 0.750
0.870 0.130 0.250
0.396 0.604 0.250
0.604 0.396 0.750
0.132 0.551 0.339
0.224 0.287 0.793
0.287 0.224 0.293
0.449 0.868 0.161
0.551 0.132 0.839
0.713 0.776 0.707
0.776 0.713 0.207
0.868 0.449 0.661
```

Computed properties:
formation enthalpy at 0 K: -3.728 eV per atom
MP2020-corrected energy: -9.78 eV/atom
energy: -0.3424 hartree per atom
SG: C2/c

---

Entry 6:
OsC2: relaxed, PBE.

Cell and atoms, written as POSCAR:
```
OsC2
1.0
2.872 0.000 0.000
-1.436 2.487 0.000
0.000 0.000 4.015
Os C
1 2
Direct
0.000 0.000 0.000
0.333 0.667 0.320
0.333 0.667 0.680
```

Computed properties:
formation enthalpy at 0 K: 0.601 eV per atom
energy: -0.3415 hartree per atom
energy above the most stable polymorph in this dataset: 0.49 kcal/mol of atoms
SG: P-6m2